# 1
PrHgPd after structural relaxation, computed with PBE.

a = 7.8710 Å, b = 7.8710 Å, c = 3.9811 Å
α = 90.00°, β = 90.00°, γ = 120.00°
Space group P-62m (No. 189)
Symmetry-distinct sites (fractional):
Pr (0.0000, 0.6014, 0.0000) x3
Hg (0.0000, 0.2636, 0.5000) x3
Pd (0.0000, 0.0000, 0.0000) x1
Pd (0.3333, 0.6667, 0.5000) x2

- ΔE_f (kJ/mol of formula units) = -197

# 2
Hg3Pd8Se9 after structural relaxation, computed with PBE.

a = 7.382 Å, b = 17.094 Å, c = 6.574 Å
α = 90.00°, β = 90.00°, γ = 90.00°
Space group Pmmn (No. 59, origin choice 2)
Symmetry-distinct sites (fractional):
Hg (0.250, 0.045, 0.121) x4
Hg (0.250, 0.750, 0.294) x2
Pd (0.012, 0.161, 0.963) x8
Pd (0.250, 0.165, 0.401) x4
Pd (0.250, 0.514, 0.534) x4
Se (0.006, 0.750, 0.729) x4
Se (0.015, 0.090, 0.617) x8
Se (0.250, 0.250, 0.806) x2
Se (0.250, 0.583, 0.894) x4

- energy with MP2020 corrections (eV per cell) = -168.74
- ΔE_f (kJ/mol of formula units) = -1019

Results for DFT total energy: -36.9; -160.2 (in eV/cell, following the order of the records).